Compound: Tm5Ti5O17
Source: the Materials Project
Functional: PBE
Structure: relaxed

a b c (Å): 3.8023 5.4230 31.8721
angles (deg): 90.00 90.00 90.00
Closest atoms and distances in Å follow each position.
Fractional positions:
Tm1 0.0000 0.1822 0.0192  6 O 2.21-2.41
Tm2 0.0000 0.7429 0.6979  4 O 2.26-2.49
Tm3 0.0000 0.2698 0.7930  7 O 2.25-2.50
Tm4 0.0000 0.3206 0.5683  4 O 2.18-2.29
Tm5 0.0000 0.7939 0.8913  8 O 2.29-2.52
Tm6 0.5000 0.2571 0.1979  4 O 2.26-2.49
Tm7 0.5000 0.8178 0.5192  6 O 2.21-2.41
Tm8 0.5000 0.7302 0.2930  7 O 2.25-2.50
Tm9 0.5000 0.6794 0.0683  4 O 2.18-2.29
Tm10 0.5000 0.2061 0.3913  8 O 2.29-2.52
Ti1 0.0000 0.7523 0.2063  5 O 1.80-1.99
Ti2 0.0000 0.2579 0.2971  5 O 1.86-2.05
Ti3 0.0000 0.7605 0.3818  5 O 1.86-1.99
Ti4 0.0000 0.2843 0.4684  6 O 1.92-2.08
Ti5 0.5000 0.7729 0.6193  5 O 1.89-2.00
Ti6 0.5000 0.2477 0.7063  5 O 1.80-1.99
Ti7 0.5000 0.7421 0.7971  5 O 1.86-2.05
Ti8 0.5000 0.2394 0.8818  5 O 1.86-1.99
Ti9 0.5000 0.7157 0.9684  6 O 1.92-2.08
Ti10 0.0000 0.2271 0.1193  5 O 1.89-2.00
O1 0.0000 0.1863 0.7180  2 Ti 1.97
O2 0.0000 0.6886 0.7979  2 Ti 1.92
O3 0.0000 0.1979 0.8705  2 Ti 1.95
O4 0.0000 0.4577 0.0703  1 Ti 2.00, 1 Tm 2.21
O5 0.0000 0.9611 0.0811  1 Ti 1.89
O6 0.0000 0.7465 0.9630  2 Ti 1.92
O7 0.0000 0.5423 0.1626  1 Ti 1.80
O8 0.0000 0.0709 0.1763  2 Ti 1.97-2.00
O9 0.0000 0.9592 0.2687  1 Ti 1.86
O10 0.0000 0.4517 0.2419  2 Ti 1.99-2.05
O11 0.5000 0.8788 0.8517  1 Ti 1.89
O12 0.5000 0.3904 0.8250  2 Ti 1.99-2.10
O13 0.5000 0.4476 0.0083  1 Ti 1.93
O14 0.5000 0.9481 0.0176  1 Ti 2.01, 1 Tm 2.18
O15 0.5000 0.0132 0.9274  2 Ti 1.90-2.08
O16 0.5000 0.5327 0.9122  2 Ti 1.86-2.05
O17 0.5000 0.2768 0.1263  2 Ti 1.93
O18 0.5000 0.8137 0.2180  2 Ti 1.97
O19 0.5000 0.3114 0.2979  2 Ti 1.92
O20 0.5000 0.8021 0.3705  2 Ti 1.95
O21 0.5000 0.2535 0.4630  2 Ti 1.92
O22 0.5000 0.5423 0.5703  1 Ti 2.00, 1 Tm 2.21
O23 0.5000 0.0389 0.5811  1 Ti 1.89
O24 0.5000 0.4577 0.6626  1 Ti 1.80
O25 0.5000 0.9291 0.6763  2 Ti 1.97-2.00
O26 0.5000 0.5483 0.7419  2 Ti 1.99-2.05
O27 0.5000 0.0408 0.7687  1 Ti 1.86
O28 0.0000 0.1212 0.3517  1 Ti 1.89
O29 0.0000 0.6096 0.3250  2 Ti 1.99-2.10
O30 0.0000 0.9868 0.4274  2 Ti 1.90-2.08
O31 0.0000 0.4673 0.4122  2 Ti 1.86-2.05
O32 0.0000 0.5524 0.5083  1 Ti 1.93
O33 0.0000 0.0519 0.5176  1 Ti 2.01, 1 Tm 2.18
O34 0.0000 0.7232 0.6263  2 Ti 1.93

Properties
- Corrected total energy (MP2020 scheme): -9.11 eV per atom
- E_form: -3.70 eV per atom
- Crystal system: orthorhombic
- Space group: No. 31